Entry from Materials Project: CsDyCdTe3 after structural relaxation (PBE).

Geometry as POSCAR:
```
CsDyCdTe3
1.0
4.547 0.000 0.000
-2.274 8.693 0.000
0.000 0.000 11.889
Dy Te Cs Cd
2 6 2 2
Direct
0.000 0.000 0.000
0.000 0.000 0.500
0.065 0.130 0.250
0.620 0.240 0.954
0.380 0.760 0.046
0.620 0.240 0.546
0.380 0.760 0.454
0.935 0.870 0.750
0.249 0.498 0.750
0.751 0.502 0.250
0.463 0.926 0.250
0.537 0.074 0.750
```

SG: Cmcm (63)
final energy: -44.70 eV per cell

=====

Entry from Materials Project: Ce4Co3B6 after structural relaxation (PBE).

Geometry as POSCAR:
```
Ce4Co3B6
1.0
4.563 2.256 -1.133
3.512 0.814 3.767
5.609 -5.533 -0.425
B Co Ce
6 3 4
Direct
0.500 0.169 0.500
0.500 0.831 0.500
0.831 0.500 0.500
0.169 0.831 0.500
0.169 0.500 0.500
0.831 0.169 0.500
0.113 0.113 0.660
0.887 0.887 0.340
0.000 0.000 0.000
0.737 0.737 0.790
0.263 0.263 0.210
0.597 0.597 0.208
0.403 0.403 0.792
```

SG: R-3m (166)
final energy: -90.27 eV per cell

=====

Entry from Materials Project: CdSe after structural relaxation (PBE).

Geometry as POSCAR:
```
CdSe
1.0
-2.197 -3.805 0.000
-2.197 3.805 0.000
0.000 0.000 -7.171
Cd Se
2 2
Direct
0.333 0.667 0.000
0.667 0.333 0.500
0.667 0.333 0.124
0.333 0.667 0.624
```

SG: P6_3mc (186)
final energy: -11.31 eV per cell
maximum piezoelectric response: 0.37 C/m²

=====

Entry from Materials Project: HoBO3 after structural relaxation (PBE).

Geometry as POSCAR:
```
HoBO3
1.0
5.756 -2.493 0.000
5.756 2.493 0.000
4.677 0.000 4.180
O Ho B
6 2 2
Direct
0.972 0.528 0.250
0.528 0.250 0.972
0.750 0.028 0.472
0.472 0.750 0.028
0.250 0.972 0.528
0.028 0.472 0.750
0.000 0.000 0.000
0.500 0.500 0.500
0.750 0.750 0.750
0.250 0.250 0.250
```

SG: R-3c (167)
final energy: -83.43 eV per cell